Entry from the Materials Project: crystalline K5YH8C8O16 at its relaxed geometry (GGA-PBE).

The MP2020-corrected energy is -254.0 eV/f.u.

Unit cell a=12.082 b=12.045 c=15.158 alpha=90.00 beta=109.68 gamma=90.00
Space group C2/c (No. 15)
Symmetry-distinct sites (fractional):
1 K 0.000 0.000 0.000 (multiplicity 4)
2 K 0.092 0.308 0.480 (multiplicity 8)
3 K 0.194 0.401 0.000 (multiplicity 8)
4 Y 0.000 0.195 0.750 (multiplicity 4)
5 H 0.111 0.471 0.743 (multiplicity 8)
6 H 0.113 0.075 0.255 (multiplicity 8)
7 H 0.197 0.201 0.220 (multiplicity 8)
8 H 0.238 0.216 0.648 (multiplicity 8)
9 C 0.066 0.448 0.669 (multiplicity 8)
10 C 0.131 0.056 0.331 (multiplicity 8)
11 C 0.201 0.131 0.640 (multiplicity 8)
12 C 0.208 0.213 0.150 (multiplicity 8)
13 O 0.024 0.349 0.653 (multiplicity 8)
14 O 0.060 0.481 0.107 (multiplicity 8)
15 O 0.102 0.042 0.849 (multiplicity 8)
16 O 0.108 0.116 0.661 (multiplicity 8)
17 O 0.120 0.196 0.077 (multiplicity 8)
18 O 0.178 0.129 0.391 (multiplicity 8)
19 O 0.191 0.255 0.850 (multiplicity 8)
20 O 0.250 0.061 0.604 (multiplicity 8)

Entry from the Materials Project: crystalline K5U2O4F9 at its relaxed geometry (GGA-PBE).

As for the distance to the lowest polymorph of the same formula: 0.000 eV/atom. The MP2020-corrected energy is -134.1 eV/f.u.

Unit cell a=19.987 b=6.258 c=11.718 alpha=90.00 beta=101.72 gamma=90.00
Space group C2/c (No. 15)
Symmetry-distinct sites (fractional):
1 K 0.023 0.247 0.419 (multiplicity 8)
2 K 0.181 0.259 0.133 (multiplicity 8)
3 K 0.250 0.250 0.500 (multiplicity 4)
4 U 0.113 0.243 0.784 (multiplicity 8)
5 O 0.080 0.499 0.220 (multiplicity 8)
6 O 0.144 0.016 0.350 (multiplicity 8)
7 F 0.000 0.088 0.750 (multiplicity 4)
8 F 0.067 0.330 0.939 (multiplicity 8)
9 F 0.090 0.069 0.612 (multiplicity 8)
10 F 0.197 0.395 0.918 (multiplicity 8)
11 F 0.203 0.299 0.698 (multiplicity 8)

Entry from the Materials Project: crystalline CrN2 at its relaxed geometry (GGA-PBE).

The MP2020-corrected energy is -26.6 eV/f.u.

Unit cell a=27.329 b=9.262 c=18.462 alpha=90.00 beta=120.40 gamma=90.00
Space group C2/m (No. 12)
Symmetry-distinct sites (fractional):
1 Cr 0.056 0.186 0.216 (multiplicity 8)
2 Cr 0.078 0.314 0.914 (multiplicity 8)
3 Cr 0.126 0.313 0.118 (multiplicity 8)
4 Cr 0.158 0.315 0.399 (multiplicity 8)
5 Cr 0.193 0.186 0.908 (multiplicity 8)
6 Cr 0.218 0.185 0.596 (multiplicity 8)
7 Cr 0.236 0.313 0.776 (multiplicity 8)
8 N 0.013 0.248 0.837 (multiplicity 8)
9 N 0.055 0.000 0.218 (multiplicity 4)
10 N 0.077 0.500 0.912 (multiplicity 4)
11 N 0.089 0.245 0.163 (multiplicity 8)
12 N 0.093 0.263 0.014 (multiplicity 8)
13 N 0.095 0.248 0.318 (multiplicity 8)
14 N 0.128 0.500 0.125 (multiplicity 4)
15 N 0.131 0.256 0.897 (multiplicity 8)
16 N 0.153 0.500 0.401 (multiplicity 4)
17 N 0.173 0.249 0.496 (multiplicity 8)
18 N 0.191 0.000 0.914 (multiplicity 4)
19 N 0.195 0.245 0.169 (multiplicity 8)
20 N 0.202 0.237 0.825 (multiplicity 8)
21 N 0.206 0.260 0.673 (multiplicity 8)
22 N 0.211 0.000 0.595 (multiplicity 4)
23 N 0.214 0.278 0.384 (multiplicity 8)
24 N 0.234 0.500 0.780 (multiplicity 4)
25 N 0.250 0.250 0.000 (multiplicity 4)

Entry from the Materials Project: crystalline MgTa2CuO6 at its relaxed geometry (GGA-PBE).

The MP2020-corrected energy is -85.9 eV/f.u.

Unit cell a=9.598 b=5.078 c=5.864 alpha=90.00 beta=127.39 gamma=90.00
Space group C2 (No. 5)
Symmetry-distinct sites (fractional):
1 Mg 0.000 0.000 0.000 (multiplicity 2)
2 Ta 0.245 0.954 0.744 (multiplicity 4)
3 Cu 0.000 0.408 0.500 (multiplicity 2)
4 O 0.000 0.604 0.000 (multiplicity 2)
5 O 0.000 0.808 0.500 (multiplicity 2)
6 O 0.176 0.189 0.413 (multiplicity 4)
7 O 0.178 0.182 0.947 (multiplicity 4)

Entry from the Materials Project: crystalline Be15Nb6Ni8 at its relaxed geometry (GGA-PBE).

Unit cell a=10.725 b=10.725 c=10.725 alpha=90.00 beta=90.00 gamma=90.00
Space group Fm-3m (No. 225)
Symmetry-distinct sites (fractional):
1 Be 0.000 0.000 0.000 (multiplicity 4)
2 Be 0.000 0.250 0.250 (multiplicity 24)
3 Be 0.174 0.174 0.326 (multiplicity 32)
4 Nb 0.000 0.000 0.297 (multiplicity 24)
5 Ni 0.123 0.123 0.123 (multiplicity 32)

| no. | energy of formation from the pure elements (eV per atom) |
| --- | --- |
| 1 | -1.629 |
| 2 | -3.449 |
| 3 | -0.094 |
| 4 | -2.680 |
| 5 | -0.383 |